No. 1
Li3Ni8O4F12 | GGA+U | relaxed

Geometry as POSCAR:
```
Li3Ni8O4F12
1.0
-2.8553 -4.0951 -3.3756
2.9650 -4.4435 -2.7895
-1.0602 -8.6158 5.4060
Li Ni O F
3 8 4 12
direct
0.0000 0.0000 0.5000
0.1925 0.1925 0.9249
0.8075 0.8075 0.0751
0.0000 0.5000 0.5000
0.5000 0.0000 0.5000
0.7534 0.2601 0.7461
0.2601 0.7534 0.7461
0.7443 0.7443 0.7628
0.2557 0.2557 0.2372
0.2466 0.7399 0.2539
0.7399 0.2466 0.2539
0.1224 0.1224 0.6126
0.6416 0.6416 0.6300
0.3584 0.3584 0.3700
0.8776 0.8776 0.3874
0.6431 0.1108 0.6331
0.1108 0.6431 0.6331
0.3864 0.3864 0.8592
0.8773 0.8773 0.8685
0.8677 0.3744 0.8659
0.3744 0.8677 0.8659
0.1323 0.6256 0.1341
0.6256 0.1323 0.1341
0.1227 0.1227 0.1315
0.6136 0.6136 0.1408
0.3569 0.8892 0.3669
0.8892 0.3569 0.3669
```

crystal system: monoclinic
formation enthalpy at 0 K: -2105 meV/atom


No. 2
LiNiOF | GGA+U | relaxed

Geometry as POSCAR:
```
LiNiOF
1.0
-0.8656 0.1370 2.8199
-2.5982 -1.1925 -0.7396
4.7272 -11.5472 2.0119
Li Ni O F
3 3 3 3
direct
0.5000 0.5000 0.6657
0.5000 0.5000 0.3343
0.0000 0.0000 0.5000
0.0000 0.0000 0.8337
0.5000 0.5000 0.0000
0.0000 0.0000 0.1663
0.5000 0.5000 0.8311
0.0000 0.0000 0.0000
0.5000 0.5000 0.1689
0.0000 0.0000 0.6607
0.0000 0.0000 0.3393
0.5000 0.5000 0.5000
```

crystal system: tetragonal
energy above the lowest structure with this stoichiometry: 0.14 kcal/mol of atoms
formation enthalpy at 0 K: -2146 meV/atom


No. 3
Li6NiOF6 | GGA+U | relaxed

Geometry as POSCAR:
```
Li6NiOF6
1.0
3.3275 6.2015 1.3866
-0.2699 4.5350 -5.5518
-8.3433 3.0145 5.9036
Li Ni O F
24 4 4 24
direct
0.8583 0.4253 0.1341
0.1083 0.6753 0.1341
0.3583 0.9253 0.1341
0.6082 0.1753 0.1341
0.1418 0.5747 0.8659
0.3918 0.8247 0.8659
0.6417 0.0747 0.8659
0.8918 0.3247 0.8659
0.9629 0.1118 0.2978
0.2129 0.3618 0.2978
0.4629 0.6118 0.2978
0.7129 0.8618 0.2978
0.0371 0.8882 0.7022
0.2871 0.1382 0.7022
0.5371 0.3882 0.7022
0.7871 0.6382 0.7022
0.8218 0.5350 0.4264
0.0718 0.7850 0.4264
0.3218 0.0350 0.4264
0.5718 0.2850 0.4264
0.1782 0.4650 0.5736
0.4282 0.7150 0.5736
0.6782 0.9650 0.5736
0.9282 0.2150 0.5736
0.5002 0.5002 0.0001
0.7497 0.7498 0.0000
0.0001 0.0002 0.0000
0.2498 0.2497 0.0000
0.0000 0.5000 0.0000
0.2500 0.7500 0.0000
0.5000 0.0000 0.0000
0.7500 0.2500 0.0000
0.1064 0.1808 0.1488
0.3564 0.4308 0.1488
0.6064 0.6808 0.1488
0.8564 0.9308 0.1488
0.8936 0.8192 0.8512
0.1436 0.0692 0.8512
0.3936 0.3192 0.8512
0.6436 0.5692 0.8512
0.9636 0.6098 0.2925
0.2135 0.8598 0.2925
0.4636 0.1098 0.2925
0.7135 0.3598 0.2925
0.0364 0.3902 0.7075
0.2865 0.6402 0.7075
0.5364 0.8902 0.7076
0.7865 0.1402 0.7075
0.0713 0.2863 0.4300
0.3212 0.5363 0.4300
0.5713 0.7863 0.4300
0.8212 0.0363 0.4300
0.9287 0.7137 0.5700
0.1788 0.9637 0.5700
0.4287 0.2137 0.5700
0.6788 0.4637 0.5700
```

energy above the lowest structure with this stoichiometry: 1.41 kcal/mol of atoms
formation enthalpy at 0 K: -2798 meV/atom


No. 4
Li3Ni2OF5 | GGA+U | relaxed

Geometry as POSCAR:
```
Li3Ni2OF5
1.0
0.0000 4.1774 8.7847
2.9525 0.0000 8.7847
2.9525 4.1774 0.0000
Li Ni O F
6 4 2 10
direct
0.5732 0.5732 0.9268
0.1703 0.1703 0.8297
0.9268 0.9268 0.5732
0.5000 0.5000 0.5000
0.8297 0.8297 0.1703
0.2500 0.2500 0.2500
0.6719 0.6719 0.3281
0.0000 0.0000 0.0000
0.3281 0.3281 0.6719
0.7500 0.7500 0.7500
0.9914 0.5086 0.9914
0.5086 0.9914 0.5086
0.3500 0.8120 0.6815
0.9105 0.4239 0.5830
0.4239 0.9105 0.0826
0.6815 0.1564 0.3500
0.2363 0.7637 0.2363
0.8120 0.3500 0.1564
0.1564 0.6815 0.8120
0.7637 0.2363 0.7637
0.5830 0.0826 0.9105
0.0826 0.5830 0.4239
```

crystal system: orthorhombic
formation enthalpy at 0 K: -2488 meV/atom


No. 5
Li2Ni3OF6 | GGA+U | relaxed

Geometry as POSCAR:
```
Li2Ni3OF6
1.0
-2.4211 3.7140 -4.1299
3.5291 -1.4859 -5.2606
-4.0227 -4.0427 -5.4421
Li Ni O F
4 6 2 12
direct
0.3194 0.8450 0.4715
0.1200 0.3101 0.0626
0.8800 0.6899 0.9374
0.6806 0.1550 0.5285
0.7823 0.5716 0.6557
0.9256 0.8379 0.2205
0.3538 0.7263 0.9306
0.6462 0.2737 0.0694
0.0744 0.1621 0.7795
0.2177 0.4284 0.3443
0.9290 0.4170 0.8647
0.0710 0.5830 0.1353
0.0910 0.7070 0.4342
0.4685 0.4364 0.8657
0.6333 0.7119 0.4429
0.7778 0.9863 0.0012
0.1773 0.8679 0.7282
0.3357 0.1502 0.2701
0.6643 0.8498 0.7299
0.8227 0.1321 0.2718
0.2222 0.0137 0.9988
0.3667 0.2881 0.5571
0.5315 0.5636 0.1343
0.9090 0.2930 0.5658
```

crystal system: triclinic
formation enthalpy at 0 K: -2243 meV/atom


No. 6
Li5Ni3O5F3 | GGA+U | relaxed

Geometry as POSCAR:
```
Li5Ni3O5F3
1.0
5.5994 0.0000 0.0000
-0.0361 5.7561 0.0000
-2.7509 -2.8879 4.4598
Li Ni O F
5 3 5 3
direct
0.5011 0.0003 0.5017
0.9966 0.0058 0.0031
0.9978 0.4858 0.0122
0.9903 0.0102 0.4799
0.5086 0.4923 0.0040
0.5065 0.0056 0.0014
0.5192 0.4848 0.5344
0.0001 0.5009 0.4990
0.7480 0.2543 0.9939
0.2619 0.2590 0.5364
0.7586 0.2851 0.5029
0.2430 0.7156 0.4970
0.7349 0.7415 0.4595
0.2786 0.2233 0.0667
0.7228 0.7762 0.9365
0.2319 0.7592 0.9714
```

crystal system: triclinic
energy above the lowest structure with this stoichiometry: 5.88 kcal/mol of atoms
formation enthalpy at 0 K: -1727 meV/atom